Below is a relaxed structure of K2P3H5O11, with properties calculated at the PBE level.

extended XYZ file:
```
84
Lattice="-5.0012 -5.0918 14.5998 -0.5365 -10.6395 12.2721 6.9423 3.3490 5.3340" Properties=species:S:1:pos:R:3 pbc="T T T"
O -1.4435 -11.2620 19.3366
O 1.9899 -8.2378 17.9111
O -0.7510 -3.5594 8.3478
O 3.2435 -6.5842 21.3978
O 0.7454 -2.1574 13.4703
O 1.9223 -6.5251 14.7679
O 3.2033 -2.4853 10.7629
O -3.5325 -7.3634 16.3135
O 0.7010 -9.8242 22.1393
O -1.7987 -9.8971 21.4431
O -3.2045 -6.1424 12.9640
O 2.8480 -1.1204 12.8693
O 1.3837 -3.3032 15.6873
O 4.1463 -0.0949 10.9576
O -0.2995 -9.3345 24.4517
O 0.7036 -2.5582 10.0667
O -2.2006 -3.8414 12.3837
O 0.2739 -7.4082 22.9180
O 1.7041 -3.0479 7.7542
O -0.8289 -5.8303 19.9983
O 1.5757 -5.3762 22.7345
O 1.8234 -4.3612 13.3755
O 4.6090 -6.2400 19.2419
O -0.4188 -8.0212 18.8304
O -0.5177 -5.8573 17.4381
O -0.1765 -7.3522 12.0241
O -2.6244 -6.7879 18.5933
O -0.5854 -4.1446 14.2949
O -0.1711 -7.0062 9.4715
O 1.5811 -5.0302 20.1819
O 2.2335 -6.5521 12.2077
O -1.8390 -5.7981 10.8082
O 1.1307 -4.9742 9.2880
O 2.8561 -1.3381 16.3598
O 0.6592 -10.2250 18.7356
O 4.9371 -5.0190 15.8924
O 3.6052 -8.5410 19.8222
O 2.1556 -8.8230 23.8582
O 0.0209 -9.0792 16.5186
O 4.0290 -5.5945 13.6126
O -1.4515 -11.0443 15.8462
O 5.1449 -2.0892 12.2279
O -3.7403 -10.2932 19.9781
O -2.7417 -12.2875 21.2483
H -3.0075 -7.0618 17.6387
H 1.6380 -2.4763 10.4460
H 1.0425 -6.3365 22.7932
H -0.3211 -10.6298 19.0274
H -1.4020 -2.7204 8.6200
H -1.3139 -4.7960 7.5082
H -0.2334 -9.9061 21.7600
H 0.1701 -5.5214 20.1196
H -0.8445 -10.2483 16.1719
H 2.8989 -8.4134 19.0361
H 1.7256 -1.7526 13.1785
H 2.7184 -7.5864 24.6977
H -1.4943 -3.9690 13.1698
H 1.2345 -6.8610 12.0863
H -2.4514 -9.1162 21.8505
H 4.4121 -5.3206 14.5672
H 2.8066 -9.6620 23.5860
H 2.2491 -2.1341 16.0340
H 3.8560 -3.2662 10.3554
H 0.3620 -6.0459 9.4127
P 0.7498 -3.5709 8.8389
P 2.4786 -5.8120 13.5689
P 0.6548 -8.8115 23.3670
P -2.8579 -5.1686 11.8745
P 4.2625 -7.2138 20.3315
P 3.8099 -1.3857 11.7202
P 0.7874 -3.4776 14.2956
P -1.0740 -6.5704 18.6370
P -2.4053 -10.9967 20.4857
P -1.0185 -7.2212 10.7604
P 0.6171 -8.9048 17.9104
P 2.4231 -5.1612 21.4455
K -1.0304 -7.0320 14.7680
K 0.0000 0.0000 0.0000
K 3.4711 1.6745 2.6670
K 2.4350 -5.3504 17.4379
K -0.0006 -2.5756 5.3638
K 3.1840 -0.5452 8.1802
K -1.7794 -11.8372 24.0258
K 1.4052 -9.8068 26.8421
```

## Properties
Symmetry: No. 15
E_form: -2.19 eV per atom
E: -6.1104 eV/atom
E (MP2020): -6.470 eV per atom